This record from Materials Project describes a relaxed structure of MnVS2. The functional is GGA-PBE.

Cell lengths 3.6820, 3.6820, 5.9624 Å; angles 72.01, 90.00, 120.00 degrees
Fractional coordinates of all 4 atoms:
1 S 0.7539 0.5079 0.7382
2 S 0.2461 0.4921 0.2618
3 Mn 0.0000 0.0000 0.0000
4 V 0.5000 0.0000 0.5000

Computed properties:
Total energy ... -28.72 eV per cell

This record from Materials Project describes a relaxed structure of Y4MnS7. The functional is GGA-PBE.

Cell lengths 6.5685, 6.5685, 11.4840 Å; angles 75.63, 75.63, 33.79 degrees
Fractional coordinates of all 12 atoms:
1 Y 0.9993 0.9993 0.0064
2 Y 0.3069 0.3069 0.8011
3 Y 0.6926 0.6926 0.2050
4 Y 0.1138 0.1138 0.5663
5 S 0.9630 0.9630 0.7848
6 S 0.0342 0.0342 0.2264
7 S 0.3382 0.3382 0.0514
8 S 0.7444 0.7444 0.6391
9 S 0.4934 0.4934 0.4964
10 S 0.2694 0.2694 0.3526
11 S 0.6598 0.6598 0.9488
12 Mn 0.8850 0.8850 0.4215

Computed properties:
Total energy ... -85.49 eV per cell

This record from Materials Project describes a relaxed structure of MnZn3S4. The functional is GGA-PBE.

Cell lengths 3.8806, 3.8806, 12.7325 Å; angles 90.00, 90.00, 120.00 degrees
Fractional coordinates of all 8 atoms:
1 S 0.0000 0.0000 0.5636
2 S 0.0000 0.0000 0.0588
3 S 0.3333 0.6667 0.3174
4 S 0.3333 0.6667 0.8112
5 Zn 0.0000 0.0000 0.7495
6 Zn 0.3333 0.6667 0.9970
7 Zn 0.3333 0.6667 0.5025
8 Mn 0.0000 0.0000 0.2480

Computed properties:
Total energy ... -35.35 eV per cell

This record from Materials Project describes a relaxed structure of MnZnS2. The functional is GGA-PBE.

Cell lengths 3.9158, 3.9158, 6.3926 Å; angles 90.00, 90.00, 120.00 degrees
Fractional coordinates of all 4 atoms:
1 S 0.6667 0.3333 0.1197
2 S 0.3333 0.6667 0.6307
3 Mn 0.6667 0.3333 0.4982
4 Zn 0.3333 0.6667 0.9995

Computed properties:
Total energy ... -21.32 eV per cell

> Which value of total energy does entry 1 give?

-28.72 eV per cell